Below is a geometry-optimized TmMnSi2 structure, with properties calculated at the GGA-PBE level.

Values from the calculation:
Energy of formation = -431 meV/atom
VASP energy = -26.4 eV/f.u.

abc: 4.137 15.698 4.203
angles: 90.00 90.00 90.00
Atoms (fractional coordinates):
Tm 0.000 0.105 0.250
Tm 0.000 0.895 0.750
Tm 0.500 0.395 0.750
Tm 0.500 0.605 0.250
Mn 0.000 0.312 0.250
Mn 0.000 0.688 0.750
Mn 0.500 0.188 0.750
Mn 0.500 0.812 0.250
Si 0.000 0.253 0.750
Si 0.000 0.457 0.250
Si 0.000 0.543 0.750
Si 0.000 0.747 0.250
Si 0.500 0.043 0.750
Si 0.500 0.247 0.250
Si 0.500 0.753 0.750
Si 0.500 0.957 0.250



Below is a geometry-optimized TmMn2Si2 structure, with properties calculated at the GGA-PBE level.

Values from the calculation:
Energy of formation = -605 meV/atom
VASP energy = -36.8 eV/f.u.

abc: 3.856 3.856 10.283
angles: 90.00 90.00 90.00
Atoms (fractional coordinates):
Tm 0.000 0.000 0.000
Tm 0.500 0.500 0.500
Mn 0.000 0.500 0.250
Mn 0.000 0.500 0.750
Mn 0.500 0.000 0.250
Mn 0.500 0.000 0.750
Si 0.000 0.000 0.381
Si 0.000 0.000 0.619
Si 0.500 0.500 0.119
Si 0.500 0.500 0.881



Below is a geometry-optimized U2Mn3Si5 structure, with properties calculated at the GGA-PBE level.

Values from the calculation:
Energy of formation = -442 meV/atom
VASP energy = -82.0 eV/f.u.

abc: 10.496 10.496 5.390
angles: 90.00 90.00 90.00
Atoms (fractional coordinates):
U 0.070 0.236 0.000
U 0.236 0.930 0.000
U 0.264 0.430 0.500
U 0.430 0.736 0.500
U 0.570 0.264 0.500
U 0.736 0.570 0.500
U 0.764 0.070 0.000
U 0.930 0.764 0.000
Mn 0.000 0.500 0.250
Mn 0.000 0.500 0.750
Mn 0.126 0.860 0.500
Mn 0.140 0.126 0.500
Mn 0.360 0.626 0.000
Mn 0.374 0.360 0.000
Mn 0.500 0.000 0.250
Mn 0.500 0.000 0.750
Mn 0.626 0.640 0.000
Mn 0.640 0.374 0.000
Mn 0.860 0.874 0.500
Mn 0.874 0.140 0.500
Si 0.000 0.000 0.256
Si 0.000 0.000 0.744
Si 0.021 0.316 0.500
Si 0.179 0.679 0.250
Si 0.179 0.679 0.750
Si 0.184 0.479 0.000
Si 0.316 0.979 0.500
Si 0.321 0.179 0.250
Si 0.321 0.179 0.750
Si 0.479 0.816 0.000
Si 0.500 0.500 0.244
Si 0.500 0.500 0.756
Si 0.521 0.184 0.000
Si 0.679 0.821 0.250
Si 0.679 0.821 0.750
Si 0.684 0.021 0.500
Si 0.816 0.521 0.000
Si 0.821 0.321 0.250
Si 0.821 0.321 0.750
Si 0.979 0.684 0.500



Below is a geometry-optimized MnV2Si6 structure, with properties calculated at the GGA-PBE level.

Values from the calculation:
Energy of formation = -384 meV/atom
VASP energy = -63.8 eV/f.u.

abc: 4.498 4.498 6.356
angles: 90.00 90.00 120.55
Atoms (fractional coordinates):
Mn 0.000 0.000 0.000
V 0.000 0.500 0.670
V 0.500 0.000 0.330
Si 0.171 0.335 0.332
Si 0.335 0.171 0.668
Si 0.335 0.665 0.000
Si 0.665 0.335 0.000
Si 0.665 0.829 0.668
Si 0.829 0.665 0.332



Below is a geometry-optimized Mn3SiW2 structure, with properties calculated at the GGA-PBE level.

Values from the calculation:
Energy of formation = -239 meV/atom
VASP energy = -60.3 eV/f.u.

abc: 4.781 4.781 7.733
angles: 90.00 90.00 120.00
Atoms (fractional coordinates):
Mn 0.172 0.343 0.250
Mn 0.172 0.828 0.250
Mn 0.343 0.172 0.750
Mn 0.657 0.828 0.250
Mn 0.828 0.172 0.750
Mn 0.828 0.657 0.750
Si 0.000 0.000 0.000
Si 0.000 0.000 0.500
W 0.333 0.667 0.563
W 0.333 0.667 0.937
W 0.667 0.333 0.063
W 0.667 0.333 0.437



Below is a geometry-optimized Y2MnSi2 structure, with properties calculated at the GGA-PBE level.

Values from the calculation:
Energy of formation = 891 meV/atom
VASP energy = -28.6 eV/f.u.

abc: 2.891 2.891 13.764
angles: 90.00 90.00 90.00
Atoms (fractional coordinates):
Y 0.000 0.000 0.124
Y 0.000 0.000 0.876
Mn 0.000 0.000 0.500
Si 0.000 0.000 0.332
Si 0.000 0.000 0.668